1.
VASP calculation (PBE) on an optimized crystal structure of NdLuS3.

a = 6.6531 Å, b = 6.6531 Å, c = 9.8664 Å
α = 90.00°, β = 90.00°, γ = 146.90°
Last column: nearest neighbours and their distance in Å.
Positions (direct):
Lu: 0.7543 0.2457 0.7500  6 S 2.66-2.81
Lu: 0.2457 0.7543 0.2500  6 S 2.66-2.81
S: 0.6492 0.3508 0.4187  2 Nd 2.80, 2 Lu 2.81
S: 0.8923 0.1077 0.2500  2 Lu 2.66, 2 Nd 2.82
S: 0.6492 0.3508 0.0813  2 Nd 2.80, 2 Lu 2.81
S: 0.3508 0.6492 0.5813  2 Nd 2.80, 2 Lu 2.81
S: 0.1077 0.8923 0.7500  2 Lu 2.66, 2 Nd 2.82
S: 0.3508 0.6492 0.9187  2 Nd 2.80, 2 Lu 2.81
Nd: 0.0000 0.0000 0.0000  6 S 2.80-2.82
Nd: 0.0000 0.0000 0.5000  6 S 2.80-2.82

Computed properties:
crystal system	orthorhombic
SG	Cmcm, No. 63
energy above the lowest structure with this stoichiometry	137	meV per atom
ΔE_f	-2.238	eV per atom


2.
VASP calculation (PBE) on an optimized crystal structure of K2RbTlF6.

a = 6.8152 Å, b = 6.8152 Å, c = 6.8152 Å
α = 60.00°, β = 60.00°, γ = 60.00°
Last column: nearest neighbours and their distance in Å.
Positions (direct):
F: 0.2272 0.7728 0.7728  1 Tl 2.19
F: 0.2272 0.2272 0.7728  1 Tl 2.19
F: 0.7728 0.2272 0.2272  1 Tl 2.19
F: 0.7728 0.2272 0.7728  1 Tl 2.19
F: 0.7728 0.7728 0.2272  1 Tl 2.19
F: 0.2272 0.7728 0.2272  1 Tl 2.19
K: 0.2500 0.2500 0.2500  12 F 3.41
K: 0.7500 0.7500 0.7500  12 F 3.41
Tl: 0.0000 0.0000 0.0000  6 F 2.19
Rb: 0.5000 0.5000 0.5000  6 F 2.63

Computed properties:
crystal system	cubic
SG	Fm-3m, No. 225
ΔE_f	-2.627	eV per atom


3.
VASP calculation (PBE) on an optimized crystal structure of BaAg8S5.

a = 17.7137 Å, b = 7.8776 Å, c = 9.0892 Å
α = 71.78°, β = 90.00°, γ = 90.00°
Last column: nearest neighbours and their distance in Å.
Positions (direct):
Ag: 0.8403 0.1011 0.4578  2 S 2.48-2.50
Ag: 0.0510 0.6296 0.1529  2 S 2.49-2.54
Ag: 0.3383 0.9461 0.8699  3 S 2.55-2.70
Ag: 0.6597 0.1011 0.4578  2 S 2.48-2.50
Ag: 0.9490 0.3704 0.8471  2 S 2.49-2.54
Ag: 0.1597 0.8989 0.5422  2 S 2.48-2.50
Ag: 0.4032 0.2588 0.0725  3 S 2.57-2.78
Ag: 0.5000 0.0000 0.0000  2 S 2.49
Ag: 0.0968 0.2588 0.0725  3 S 2.57-2.78
Ag: 0.0000 0.5000 0.5000  2 S 2.58
Ag: 0.4490 0.6296 0.1529  2 S 2.49-2.54
Ag: 0.0000 0.0000 0.0000  2 S 2.49
Ag: 0.4944 0.9384 0.3542  2 S 2.55-2.59
Ag: 0.5000 0.5000 0.5000  2 S 2.58
Ag: 0.8383 0.0539 0.1301  3 S 2.55-2.70
Ag: 0.9510 0.3142 0.2112  2 S 2.44-2.46
Ag: 0.1631 0.8876 0.2203  2 S 2.47-2.48
Ag: 0.4510 0.6858 0.7888  2 S 2.44-2.46
Ag: 0.3403 0.8989 0.5422  2 S 2.48-2.50
Ag: 0.1617 0.9461 0.8699  3 S 2.55-2.70
Ag: 0.9032 0.7412 0.9275  3 S 2.57-2.78
Ag: 0.6617 0.0539 0.1301  3 S 2.55-2.70
Ag: 0.5510 0.3704 0.8471  2 S 2.49-2.54
Ag: 0.6631 0.1124 0.7797  2 S 2.47-2.48
Ag: 0.5490 0.3142 0.2112  2 S 2.44-2.46
Ag: 0.0490 0.6858 0.7888  2 S 2.44-2.46
Ag: 0.8369 0.1124 0.7797  2 S 2.47-2.48
Ag: 0.5968 0.7412 0.9275  3 S 2.57-2.78
Ag: 0.0056 0.9384 0.3542  2 S 2.55-2.59
Ag: 0.5056 0.0616 0.6458  2 S 2.55-2.59
Ag: 0.9944 0.0616 0.6458  2 S 2.55-2.59
Ag: 0.3369 0.8876 0.2203  2 S 2.47-2.48
Ba: 0.2500 0.4002 0.2862  8 S 3.23-3.46
Ba: 0.7500 0.5998 0.7138  8 S 3.23-3.46
Ba: 0.2500 0.4389 0.7470  8 S 3.19-3.53
Ba: 0.7500 0.5611 0.2530  8 S 3.19-3.53
S: 0.7500 0.9051 0.3793  4 Ag 2.48-2.70
S: 0.2500 0.0949 0.6207  4 Ag 2.48-2.70
S: 0.1535 0.6055 0.9725  3 Ag 2.44-2.55
S: 0.6535 0.3945 0.0275  3 Ag 2.44-2.55
S: 0.0693 0.2279 0.3573  3 Ag 2.46-2.57
S: 0.4286 0.2310 0.7971  5 Ag 2.49-2.67
S: 0.8465 0.3945 0.0275  3 Ag 2.44-2.55
S: 0.9307 0.7721 0.6427  3 Ag 2.46-2.57
S: 0.8653 0.3674 0.5449  3 Ag 2.48-2.58
S: 0.4307 0.2279 0.3573  3 Ag 2.46-2.57
S: 0.2500 0.1220 0.0677  2 Ag 2.47
S: 0.0714 0.2310 0.7971  5 Ag 2.49-2.67
S: 0.1347 0.6326 0.4551  3 Ag 2.48-2.58
S: 0.6347 0.3674 0.5449  3 Ag 2.48-2.58
S: 0.7500 0.8780 0.9323  2 Ag 2.47
S: 0.9286 0.7690 0.2029  5 Ag 2.49-2.67
S: 0.3465 0.6055 0.9725  3 Ag 2.44-2.55
S: 0.3653 0.6326 0.4551  3 Ag 2.48-2.58
S: 0.5693 0.7721 0.6427  3 Ag 2.46-2.57
S: 0.5714 0.7690 0.2029  5 Ag 2.49-2.67

Computed properties:
crystal system	monoclinic
SG	P2_1/m, No. 11
ΔE_f	-0.527	eV per atom


4.
VASP calculation (PBE) on an optimized crystal structure of Sm2Re3B6.

a = 6.2855 Å, b = 6.2855 Å, c = 7.5687 Å
α = 89.47°, β = 89.47°, γ = 114.44°
Last column: nearest neighbours and their distance in Å.
Positions (direct):
B: 0.7548 0.8468 0.1315  1 B 1.82
B: 0.3498 0.4427 0.9653  3 B 1.80-1.82
B: 0.8399 0.4124 0.9800  2 B 1.82-1.88
B: 0.1532 0.2452 0.3685  1 B 1.82
B: 0.5876 0.1601 0.5200  2 B 1.82-1.88
B: 0.6502 0.5573 0.0347  3 B 1.80-1.82
B: 0.5573 0.6502 0.5347  3 B 1.80-1.82
B: 0.4124 0.8399 0.4800  2 B 1.82-1.88
B: 0.8468 0.7548 0.6315  1 B 1.82
B: 0.1601 0.5876 0.0200  2 B 1.82-1.88
B: 0.2452 0.1532 0.8685  1 B 1.82
B: 0.4427 0.3498 0.4653  3 B 1.80-1.82
Sm: 0.5583 0.9048 0.8245  9 B 2.73-2.99
Sm: 0.4417 0.0952 0.1755  9 B 2.73-2.99
Sm: 0.9048 0.5583 0.3245  9 B 2.73-2.99
Sm: 0.0952 0.4417 0.6755  9 B 2.73-2.99
Re: 0.4144 0.5856 0.2500  8 B 2.25-2.38
Re: 0.5856 0.4144 0.7500  8 B 2.25-2.38
Re: 0.1945 0.0101 0.5877  6 B 2.13-2.30
Re: 0.8055 0.9899 0.4123  6 B 2.13-2.30
Re: 0.9899 0.8055 0.9123  6 B 2.13-2.30
Re: 0.0101 0.1945 0.0877  6 B 2.13-2.30

Computed properties:
crystal system	monoclinic
SG	C2/c, No. 15
ΔE_f	-0.487	eV per atom


5.
VASP calculation (PBE) on an optimized crystal structure of Lu5Bi3.

a = 8.0894 Å, b = 9.4064 Å, c = 11.7746 Å
α = 90.00°, β = 90.00°, γ = 90.00°
Last column: nearest neighbours and their distance in Å.
Positions (direct):
Bi: 0.9333 0.9969 0.6744  9 Lu 3.14-3.43
Bi: 0.5922 0.7500 0.4570  8 Lu 3.08-3.32
Bi: 0.4333 0.9969 0.8256  9 Lu 3.14-3.43
Bi: 0.5667 0.0031 0.1744  9 Lu 3.14-3.43
Bi: 0.0667 0.4969 0.3256  9 Lu 3.14-3.43
Bi: 0.4333 0.5031 0.8256  9 Lu 3.14-3.43
Bi: 0.9078 0.2500 0.9570  8 Lu 3.08-3.32
Bi: 0.0667 0.0031 0.3256  9 Lu 3.14-3.43
Bi: 0.9333 0.5031 0.6744  9 Lu 3.14-3.43
Bi: 0.0922 0.7500 0.0430  8 Lu 3.08-3.32
Bi: 0.5667 0.4969 0.1744  9 Lu 3.14-3.43
Bi: 0.4078 0.2500 0.5430  8 Lu 3.08-3.32
Lu: 0.8114 0.7500 0.2190  6 Bi 3.08-3.39
Lu: 0.3114 0.7500 0.2810  6 Bi 3.08-3.39
Lu: 0.0248 0.2500 0.5096  5 Bi 3.12-3.19, 3 Lu 3.30-3.46
Lu: 0.5248 0.2500 0.9904  5 Bi 3.12-3.19, 3 Lu 3.30-3.46
Lu: 0.6886 0.2500 0.7190  6 Bi 3.08-3.39
Lu: 0.6453 0.7500 0.7171  5 Bi 3.09-3.33, 2 Lu 3.41
Lu: 0.4752 0.7500 0.0096  5 Bi 3.12-3.19, 3 Lu 3.30-3.46
Lu: 0.9752 0.7500 0.4904  5 Bi 3.12-3.19, 3 Lu 3.30-3.46
Lu: 0.1886 0.2500 0.7810  6 Bi 3.08-3.39
Lu: 0.8058 0.9353 0.9402  5 Bi 3.08-3.43, 2 Lu 3.30-3.41
Lu: 0.1453 0.7500 0.7829  5 Bi 3.09-3.33, 2 Lu 3.41
Lu: 0.6942 0.4353 0.4402  5 Bi 3.08-3.43, 2 Lu 3.30-3.41
Lu: 0.3058 0.5647 0.5598  5 Bi 3.08-3.43, 2 Lu 3.30-3.41
Lu: 0.8058 0.5647 0.9402  5 Bi 3.08-3.43, 2 Lu 3.30-3.41
Lu: 0.1942 0.0647 0.0598  5 Bi 3.08-3.43, 2 Lu 3.30-3.41
Lu: 0.1942 0.4353 0.0598  5 Bi 3.08-3.43, 2 Lu 3.30-3.41
Lu: 0.6942 0.0647 0.4402  5 Bi 3.08-3.43, 2 Lu 3.30-3.41
Lu: 0.8547 0.2500 0.2171  5 Bi 3.09-3.33, 2 Lu 3.41
Lu: 0.3058 0.9353 0.5598  5 Bi 3.08-3.43, 2 Lu 3.30-3.41
Lu: 0.3547 0.2500 0.2829  5 Bi 3.09-3.33, 2 Lu 3.41

Computed properties:
crystal system	orthorhombic
SG	Pnma, No. 62
ΔE_f	-0.573	eV per atom


6.
VASP calculation (PBE) on an optimized crystal structure of Na2La4Zr4Si3S9O48.

a = 18.6085 Å, b = 9.2918 Å, c = 24.2855 Å
α = 89.90°, β = 90.01°, γ = 119.98°
Last column: nearest neighbours and their distance in Å.
Positions (direct):
O: 0.4751 0.1683 0.3001  1 S 1.50
O: 0.6825 0.8706 0.5788  1 S 1.47
O: 0.5207 0.2135 0.9239  1 S 1.49
O: 0.6780 0.4865 0.3606  1 Si 1.60
O: 0.9383 0.3352 0.9181  1 S 1.49
O: 0.0645 0.4697 0.8657  1 S 1.46
O: 0.6726 0.8801 0.2653  1 Si 1.60
O: 0.4076 0.2878 0.2463  1 S 1.52
O: 0.9014 0.0067 0.1019  1 S 1.47
O: 0.5747 0.6393 0.0721  1 Si 1.70
O: 0.3252 0.1187 0.4191  1 S 1.50
O: 0.0022 0.1903 0.5863  1 Si 1.64
O: 0.7396 0.3611 0.1308  1 S 1.50
O: 0.5992 0.9933 0.6035  1 S 1.50
O: 0.6914 0.5089 0.0727  1 S 1.50
O: 0.3128 0.5074 0.6337  1 S 1.52
O: 0.2733 0.6537 0.2636  1 S 1.48
O: 0.2233 0.1389 0.5334  1 S 1.47
O: 0.4726 0.7610 0.7966  1 S 1.49
O: 0.9145 0.2991 0.2357  1 S 1.50
O: 0.5765 0.1947 0.4066  1 Si 1.67
O: 0.5735 0.6944 0.4670  1 S 1.51
O: 0.2769 0.8706 0.7444  1 S 1.46
O: 0.7633 0.6555 0.8655  1 S 1.47
O: 0.0202 0.2018 0.9065  1 S 1.51
O: 0.3175 0.1207 0.1317  1 S 1.51
O: 0.4046 0.0476 0.7956  1 S 1.49
O: 0.5797 0.4796 0.9695  1 S 1.51
O: 0.3950 0.9574 0.4081  1 S 1.48
O: 0.4979 0.1839 0.6013  1 Si 1.63
O: 0.4315 0.5090 0.1345  1 Si 1.67
O: 0.9995 0.7949 0.7017  1 S 1.46
O: 0.4240 0.2890 0.5310  1 Si 1.61
O: 0.0658 0.6687 0.3701  1 S 1.48
O: 0.4950 0.2031 0.2002  1 S 1.46
O: 0.4132 0.7799 0.3013  1 S 1.49
O: 0.7243 0.3119 0.0318  1 S 1.48
O: 0.2630 0.6722 0.9690  1 S 1.49
O: 0.0720 0.4464 0.9657  1 S 1.49
O: 0.6667 0.8647 0.8699  1 S 1.47
O: 0.4394 0.5407 0.4205  1 S 1.50
O: 0.9440 0.5291 0.4260  1 S 1.47
O: 0.8253 0.1162 0.4210  1 S 1.48
O: 0.9085 0.8144 0.1967  1 S 1.48
O: 0.9335 0.3616 0.6357  1 Si 1.68
O: 0.9949 0.1844 0.1968  1 S 1.47
O: 0.3524 0.5668 0.5375  1 S 1.46
O: 0.7760 0.8901 0.7629  1 S 1.47
O: 0.8570 0.1854 0.7469  1 S 1.50
O: 0.1061 0.2071 0.7030  1 S 1.47
O: 0.1649 0.4664 0.3708  1 S 1.46
O: 0.7776 0.6970 0.9654  1 S 1.49
O: 0.7457 0.3027 0.7343  1 Si 1.64
O: 0.5715 0.5062 0.5717  1 Si 1.63
O: 0.5642 0.6562 0.3673  1 S 1.45
O: 0.6663 0.8523 0.9705  1 S 1.51
O: 0.2449 0.1894 0.2334  1 Si 1.64
O: 0.3238 0.5298 0.9191  1 S 1.48
O: 0.8983 0.8330 0.9047  1 S 1.51
O: 0.8939 0.9979 0.7029  1 S 1.47
O: 0.9271 0.5632 0.0294  1 Si 1.62
O: 0.0219 0.8308 0.4246  1 S 1.49
O: 0.6042 0.0020 0.1967  1 Si 1.61
O: 0.6019 0.0491 0.3050  1 Si 1.69
O: 0.1057 0.1667 0.8020  1 S 1.51
O: 0.7391 0.1181 0.9226  1 S 1.48
O: 0.9267 0.4905 0.1348  1 Si 1.65
O: 0.1755 0.8682 0.8608  1 Si 1.61
O: 0.3394 0.1252 0.0325  1 S 1.47
O: 0.8412 0.5540 0.5333  1 S 1.46
O: 0.1651 0.4436 0.7626  1 S 1.46
O: 0.2428 0.1235 0.6320  1 S 1.51
O: 0.7736 0.8657 0.3698  1 S 1.46
O: 0.6174 0.1770 0.8044  1 Si 1.64
O: 0.6566 0.4713 0.4702  1 Si 1.71
O: 0.2602 0.8666 0.3673  1 S 1.47
O: 0.8974 0.7910 0.5918  1 S 1.48
O: 0.1044 0.9940 0.5916  1 S 1.47
O: 0.8120 0.1134 0.1333  1 S 1.50
O: 0.4305 0.3663 0.6350  1 Si 1.70
O: 0.0864 0.2144 0.4250  1 S 1.49
O: 0.7437 0.1239 0.6345  1 S 1.52
O: 0.3891 0.7865 0.2022  1 S 1.47
O: 0.3563 0.5267 0.2463  1 S 1.51
O: 0.1815 0.4960 0.0766  1 S 1.48
O: 0.0810 0.6826 0.4699  1 S 1.51
O: 0.7636 0.8526 0.4707  1 S 1.50
O: 0.1648 0.4784 0.4714  1 S 1.52
O: 0.4103 0.5256 0.7358  1 S 1.52
O: 0.0576 0.6703 0.7599  1 S 1.47
O: 0.2427 0.1459 0.9172  1 Si 1.61
O: 0.8293 0.5339 0.9171  1 S 1.49
O: 0.3480 0.1680 0.7337  1 S 1.51
O: 0.1176 0.0572 0.3043  1 Si 1.64
O: 0.5653 0.4642 0.8696  1 S 1.48
O: 0.2718 0.8528 0.4670  1 S 1.51
O: 0.3961 0.8318 0.9227  1 S 1.49
O: 0.4289 0.5372 0.0253  1 Si 1.60
O: 0.0898 0.0086 0.1970  1 Si 1.64
O: 0.4065 0.0045 0.6966  1 S 1.48
O: 0.0780 0.9627 0.9046  1 Si 1.69
O: 0.9091 0.5329 0.7470  1 S 1.51
O: 0.9055 0.7669 0.2956  1 S 1.49
O: 0.8973 0.9589 0.4253  1 S 1.50
O: 0.6021 0.2148 0.0871  1 S 1.47
O: 0.2357 0.2862 0.7496  1 S 1.50
O: 0.5561 0.4440 0.2584  1 S 1.46
O: 0.4016 0.7939 0.6029  1 S 1.47
O: 0.7492 0.6333 0.5771  1 S 1.49
O: 0.2376 0.3590 0.4240  1 S 1.48
O: 0.0636 0.4433 0.2472  1 S 1.47
O: 0.9785 0.7884 0.8009  1 S 1.51
O: 0.2430 0.3673 0.1335  1 S 1.50
O: 0.4926 0.8020 0.6971  1 S 1.47
O: 0.8522 0.1355 0.0369  1 S 1.47
O: 0.1923 0.8761 0.5750  1 S 1.50
O: 0.7472 0.2048 0.2443  1 Si 1.67
O: 0.0760 0.5156 0.5712  1 Si 1.69
O: 0.5596 0.6766 0.7474  1 S 1.47
O: 0.8537 0.5354 0.2340  1 S 1.50
O: 0.9154 0.0471 0.8017  1 S 1.50
O: 0.0984 0.2075 0.1025  1 S 1.49
O: 0.1606 0.8603 0.2500  1 Si 1.62
O: 0.7783 0.6827 0.2430  1 S 1.46
O: 0.5894 0.1713 0.6975  1 Si 1.65
O: 0.7420 0.3371 0.4181  1 Si 1.62
O: 0.5877 0.9588 0.9237  1 S 1.50
O: 0.2490 0.8646 0.0775  1 S 1.50
O: 0.6604 0.4614 0.7506  1 Si 1.62
O: 0.4980 0.8145 0.0817  1 Si 1.62
O: 0.2714 0.6756 0.8681  1 S 1.48
O: 0.7566 0.8676 0.0757  1 S 1.50
O: 0.2564 0.6430 0.5769  1 S 1.50
O: 0.1563 0.8412 0.9704  1 Si 1.67
O: 0.2084 0.2870 0.0379  1 S 1.47
O: 0.0701 0.6365 0.0721  1 Si 1.66
O: 0.4426 0.3588 0.9247  1 S 1.47
O: 0.3975 0.0030 0.0911  1 S 1.47
O: 0.8171 0.5141 0.6322  1 S 1.51
O: 0.9756 0.1861 0.2963  1 S 1.49
O: 0.7093 0.1339 0.5387  1 S 1.47
O: 0.9272 0.3126 0.5270  1 Si 1.60
O: 0.5212 0.8378 0.4096  1 S 1.49
O: 0.9977 0.8117 0.1010  1 Si 1.63
Na: 0.3266 0.3192 0.3223  3 O 2.49-2.57
Na: 0.3152 0.3056 0.8416  1 O 2.32
Na: 0.8056 0.3140 0.3339  2 O 2.42-2.43
Na: 0.4937 0.9622 0.0053  2 O 2.33-2.57
Na: 0.8231 0.3276 0.8247  3 O 2.56-2.59
Na: 0.9927 0.0265 0.4989  3 O 2.37-2.57
S: 0.4859 0.2758 0.2510  4 O 1.46-1.52
S: 0.3323 0.6299 0.5868  4 O 1.46-1.52
S: 0.1903 0.0338 0.5825  4 O 1.47-1.51
S: 0.1528 0.2770 0.7542  4 O 1.46-1.51
S: 0.3132 0.6776 0.9203  4 O 1.48-1.49
S: 0.8608 0.7015 0.2425  4 O 1.46-1.50
S: 0.9875 0.6987 0.7519  4 O 1.46-1.51
S: 0.8321 0.0327 0.0869  4 O 1.47-1.50
S: 0.8259 0.6220 0.5830  4 O 1.46-1.51
S: 0.3269 0.0300 0.0834  4 O 1.47-1.51
S: 0.8607 0.0283 0.7537  4 O 1.47-1.50
S: 0.6888 0.3463 0.0810  4 O 1.47-1.50
S: 0.0250 0.3675 0.9144  4 O 1.46-1.51
S: 0.3592 0.0197 0.7428  4 O 1.46-1.51
S: 0.3136 0.9477 0.4154  4 O 1.47-1.51
S: 0.1637 0.3799 0.4213  4 O 1.46-1.52
S: 0.0271 0.6762 0.4222  4 O 1.47-1.51
S: 0.8142 0.9466 0.4214  4 O 1.46-1.50
S: 0.6844 0.0284 0.5880  4 O 1.47-1.52
S: 0.5262 0.6829 0.4153  4 O 1.45-1.51
S: 0.8153 0.6777 0.9139  4 O 1.47-1.51
S: 0.6655 0.9490 0.9208  4 O 1.47-1.51
S: 0.3591 0.6912 0.2536  4 O 1.47-1.51
S: 0.1836 0.3415 0.0876  4 O 1.47-1.50
S: 0.4861 0.6958 0.7441  4 O 1.47-1.52
S: 0.9888 0.2783 0.2437  4 O 1.47-1.50
S: 0.5261 0.3791 0.9221  4 O 1.47-1.51
Si: 0.6655 0.3736 0.4134  4 O 1.60-1.71
Si: 0.4836 0.3368 0.5837  4 O 1.61-1.70
Si: 0.6564 0.0301 0.2524  4 O 1.60-1.69
Si: 0.9829 0.3432 0.5806  4 O 1.60-1.69
Si: 0.6540 0.2813 0.7469  4 O 1.62-1.65
Si: 0.1538 0.0270 0.2465  4 O 1.62-1.64
Si: 0.4809 0.6259 0.0797  4 O 1.60-1.70
Si: 0.1663 0.9571 0.9150  4 O 1.61-1.69
Si: 0.9801 0.6258 0.0859  4 O 1.62-1.66
Zr: 0.8310 0.3283 0.1824  6 O 2.02-2.25
Zr: 0.1603 0.6796 0.0221  3 O 1.94-2.16
Zr: 0.0044 0.9966 0.8584  3 O 1.91-2.13
Zr: 0.8366 0.3365 0.6805  4 O 2.02-2.20
Zr: 0.6594 0.6420 0.5175  2 O 1.94-1.98
Zr: 0.0067 0.9948 0.1461  4 O 1.93-2.14
Zr: 0.3382 0.3401 0.1820  6 O 2.02-2.24
Zr: 0.5073 0.0187 0.6461  3 O 1.94-2.11
Zr: 0.6645 0.6706 0.0261  2 O 1.91-2.13
Zr: 0.5125 0.0178 0.3547  2 O 1.94-1.96
Zr: 0.3375 0.3359 0.6782  3 O 1.92-2.14
Zr: 0.1663 0.6626 0.5235  3 O 1.93-2.13
La: 0.5080 0.0119 0.8514  1 O 2.16
La: 0.1718 0.6813 0.8081  3 O 2.13-2.38
La: 0.6719 0.6677 0.3048  5 O 2.19-2.45
La: 0.3250 0.3310 0.9841  4 O 2.17-2.39
La: 0.1627 0.6745 0.3021  3 O 2.15-2.40
La: 0.8260 0.3197 0.4818  5 O 2.21-2.42
La: 0.8440 0.3488 0.9839  1 O 2.12
La: 0.6619 0.6508 0.8025  4 O 2.15-2.41
La: 0.3428 0.3359 0.4809  2 O 2.15-2.36
La: 0.5044 0.9867 0.1495  2 O 2.13-2.26
La: 0.9996 0.0121 0.6460  6 O 2.18-2.43
La: 0.0067 0.0028 0.3494  1 O 2.16

Computed properties:
crystal system	triclinic
SG	P1, No. 1
ΔE_f	-2.733	eV per atom